# 1
! GGA-PBE Ca10P6SO24, relaxed; values from VASP
&SYSTEM
  ibrav = 0, nat = 41, ntyp = 4
/
ATOMIC_SPECIES
Ca 40.08 Ca.upf
P 30.97 P.upf
S 32.06 S.upf
O 16.00 O.upf
ATOMIC_POSITIONS angstrom
Ca -3.5620 6.2959 1.6088
Ca 1.1687 2.1507 1.6088
Ca 2.4469 0.0632 5.1728
Ca 0.0000 5.5889 0.1232
Ca 0.0000 5.5889 3.5622
Ca 4.8402 2.7945 3.2194
Ca 4.8402 2.7945 6.6585
Ca 2.3933 8.3202 1.6088
Ca 3.6714 6.2328 5.1728
Ca 8.4022 2.0875 5.1728
P -1.6662 3.3986 1.7183
P -1.0637 8.1271 1.7183
P 2.1102 3.1423 5.0633
P 2.7300 5.2411 1.7183
P 5.9039 0.2563 5.0633
P 6.5064 4.9848 5.0633
S 0.0000 0.0000 0.0000
O -0.8372 2.6328 2.8568
O -0.8752 3.2315 0.3893
O -1.6549 4.9392 2.0016
O -1.7244 5.5122 5.1649
O -2.1415 7.7920 2.8568
O -1.6040 7.5256 0.3893
O 1.8615 2.0414 3.9249
O 0.9287 4.1339 5.1649
O 2.3609 2.3737 6.3924
O 1.3901 4.4806 2.0016
O 0.2648 7.3469 2.0016
O 4.0444 1.2627 1.6168
O 0.7958 7.1207 5.1649
O 4.5754 1.0365 4.7801
O 3.4501 3.9028 4.7801
O 2.4792 6.0097 0.3893
O 3.9115 4.2495 1.6168
O 2.9787 6.3420 2.8568
O 6.4442 0.8578 6.3924
O 6.9817 0.5914 3.9249
O 6.5646 2.8712 1.6168
O 6.4950 3.4442 4.7801
O 5.7154 5.1519 6.3924
O 5.6774 5.7506 3.9249
CELL_PARAMETERS angstrom
9.6803 0.0000 0.0000
-4.8402 8.3834 0.0000
0.0000 0.0000 6.7817
! - E (eV per cell) = -292.97
! - space group = No. 147


# 2
! GGA-PBE Ca10P6SO24, relaxed; values from VASP
&SYSTEM
  ibrav = 0, nat = 82, ntyp = 4
/
ATOMIC_SPECIES
Ca 40.08 Ca.upf
P 30.97 P.upf
S 32.06 S.upf
O 16.00 O.upf
ATOMIC_POSITIONS angstrom
Ca -0.0130 0.0784 4.2712
Ca 1.2062 3.6361 2.0881
Ca 1.2115 3.6542 6.3117
Ca 2.2507 5.1649 15.4704
Ca 2.2878 1.8544 9.9030
Ca 2.3927 1.8208 15.2521
Ca 2.4303 5.3015 9.6850
Ca 3.6170 0.0000 2.0114
Ca 3.7301 0.0157 6.2851
Ca 4.7052 0.1745 12.5883
Ca 4.9211 3.5729 4.1763
Ca 5.8962 3.4141 10.4796
Ca 6.0093 3.3983 14.7532
Ca 7.1960 1.9032 7.0796
Ca 7.2336 5.2192 1.5125
Ca 7.3385 5.2527 6.8616
Ca 7.3756 1.7665 1.2942
Ca 8.4148 0.2559 10.4530
Ca 8.4201 0.2378 14.6765
Ca 9.6393 3.4768 12.4934
P 0.2742 0.1929 7.3315
P 0.7833 0.1587 0.7736
P 1.2352 0.0930 12.8273
P 3.4088 3.5691 12.3189
P 4.0390 3.4906 7.5313
P 4.5185 3.4611 1.1191
P 5.1078 0.0627 15.6455
P 5.5873 0.0923 9.2333
P 6.2175 0.1707 4.4457
P 8.3911 3.4914 3.9373
P 8.8430 3.5570 15.9910
P 9.3521 3.5912 9.4331
S 2.4398 5.2628 4.1818
S 7.1865 1.8644 12.5828
O 0.1192 5.6862 6.4844
O 0.1652 5.8071 13.1799
O 0.4364 1.3588 6.3166
O 0.5665 3.5275 15.4072
O 0.6805 0.2905 15.9808
O 0.7011 1.4584 13.3498
O 0.9987 3.7221 8.6633
O 1.4652 0.1639 8.3107
O 1.5088 0.1135 11.3060
O 1.5730 5.6449 1.0553
O 1.6167 1.3242 1.3753
O 2.0694 3.7877 11.5434
O 2.5602 6.6387 13.6209
O 3.1993 3.5618 13.8509
O 3.2557 2.3581 6.8010
O 3.2558 4.8117 7.2880
O 3.3203 3.5263 0.1386
O 3.7740 6.6640 16.4344
O 3.9712 2.2143 11.7985
O 4.0016 3.2985 9.0842
O 4.1306 0.1464 9.7508
O 4.2801 2.3287 2.1609
O 4.4103 4.6791 11.8872
O 4.7547 4.7675 1.9372
O 4.8716 1.3691 14.8274
O 5.2160 1.2807 4.8774
O 5.3462 5.7270 14.6037
O 5.4956 3.5447 7.0138
O 5.6247 6.6968 7.6804
O 5.6551 5.6126 4.9661
O 5.8523 3.2657 0.3302
O 6.3060 0.1279 16.6260
O 6.3705 1.4133 9.4766
O 6.3706 5.7565 9.9636
O 6.4270 0.1634 2.9137
O 7.0661 3.2404 3.1437
O 7.5569 0.3894 5.2212
O 8.0096 4.7225 15.3893
O 8.0533 2.2466 15.7093
O 8.1175 3.5118 5.4587
O 8.1610 3.5623 8.4539
O 8.6276 0.3237 8.1013
O 8.9252 4.8567 3.4148
O 8.9458 3.6888 0.7838
O 9.0598 0.1291 1.3574
O 9.1899 4.7571 10.4480
O 9.4611 2.4088 3.5847
O 9.5070 2.2879 10.2802
CELL_PARAMETERS angstrom
9.7076 0.0000 0.0000
0.0000 6.7967 0.0000
-0.0813 0.0000 16.7646
! - E (eV per cell) = -586.17
! - space group = No. 4


# 3
! GGA-PBE CaSn3P2S4O24, relaxed; values from VASP
&SYSTEM
  ibrav = 0, nat = 102, ntyp = 5
/
ATOMIC_SPECIES
Ca 40.08 Ca.upf
Sn 118.71 Sn.upf
P 30.97 P.upf
S 32.06 S.upf
O 16.00 O.upf
ATOMIC_POSITIONS angstrom
Ca 0.0000 0.0000 0.0000
Ca 0.0901 0.0457 11.6066
Ca 8.8494 5.1477 3.9987
Sn 4.5344 7.6441 6.8172
Sn 4.4613 2.5952 14.5967
Sn 4.4674 2.5733 7.7009
Sn 4.4926 2.6183 2.9372
Sn 4.5031 2.5857 19.1415
Sn 8.8621 5.2000 10.6225
Sn 8.9464 5.2497 22.1372
Sn 8.9192 5.1855 15.5536
Sn 13.2826 7.7367 18.2957
P 3.2206 4.8460 16.8526
P 2.6807 0.0379 9.1585
P 5.6554 4.8008 5.3845
P 3.1394 0.3866 16.8495
P 7.0559 2.5947 16.8325
P 6.2755 0.0725 20.6476
S 3.1327 5.4325 9.1665
S 1.3715 2.3649 20.6406
S 1.9153 2.5093 5.3646
S 5.8028 5.4539 20.6429
S 7.6510 7.4440 1.5243
S 6.3672 5.0752 13.0756
S 5.8347 0.4022 5.3846
S 10.1061 7.4137 13.0662
S 7.5616 2.9305 1.4922
S 7.6047 2.3006 9.1446
S 10.2346 3.0338 13.0550
S 11.4827 5.0569 1.5228
O 3.7386 6.0074 10.3434
O 3.8601 6.2261 17.0394
O 1.0700 1.2799 5.5223
O 1.2166 1.5565 21.8264
O 3.4100 3.9367 18.0737
O 2.8526 2.9421 13.1942
O 2.7493 2.7013 6.5867
O 3.4286 3.7792 1.6155
O 2.8320 2.5591 20.4143
O 3.7157 4.0842 8.9467
O 4.9173 6.1722 5.5320
O 3.8709 4.2561 15.5621
O 2.7586 2.2344 4.1622
O 1.6305 0.2350 17.0846
O 1.8664 0.3103 10.3865
O 5.2091 6.0136 21.8337
O 6.2312 7.6385 1.3264
O 5.5300 6.2410 12.9304
O 6.2350 7.4485 7.8833
O 5.6193 6.3303 19.4320
O 4.9806 4.1614 4.1291
O 3.3071 1.2495 15.5570
O 5.1924 4.1166 20.4126
O 3.6091 1.2579 8.9059
O 5.4016 3.9393 6.6555
O 3.9089 1.1071 1.6593
O 3.8493 1.0053 18.0529
O 5.5521 3.8318 13.2172
O 7.9070 6.6433 2.7053
O 7.2593 5.2901 14.2359
O 7.2904 5.2908 20.7957
O 7.1395 4.9516 5.2847
O 8.0172 6.4543 9.3052
O 8.2899 6.8446 0.2818
O 8.2201 6.6948 16.6357
O 5.0065 1.0491 13.2133
O 7.1819 4.8184 11.8142
O 6.0486 2.8258 1.5964
O 6.1809 2.9094 18.0484
O 5.2020 1.0148 6.5902
O 5.3607 1.3013 20.3981
O 6.1419 2.4940 8.9440
O 6.2100 2.3036 15.5543
O 5.6167 1.2424 4.1676
O 9.4799 6.8210 11.8169
O 7.7673 3.7854 0.2441
O 7.9262 3.8528 16.6274
O 9.7032 6.7764 5.2650
O 8.1104 3.5610 2.6775
O 9.7947 6.4818 20.7934
O 9.8481 6.5466 14.2414
O 8.2395 3.6593 9.2923
O 7.0809 0.3353 21.8783
O 7.7775 1.4931 10.3283
O 7.3223 0.3597 5.5750
O 7.9530 1.3686 17.0348
O 8.1215 1.6091 1.3242
O 11.5339 7.5532 12.9128
O 8.2284 1.6900 7.9182
O 11.5868 7.4776 19.3761
O 9.5943 3.7126 20.7975
O 10.5128 5.2697 9.3121
O 9.6231 3.7014 14.2281
O 10.6586 5.2285 2.7042
O 10.5608 4.9764 16.6548
O 10.0308 3.8668 11.7924
O 9.9692 3.6821 5.2470
O 10.6443 4.8110 0.2758
O 12.1703 6.2966 7.9466
O 9.6041 1.7465 19.4246
O 9.6285 1.7318 12.9252
O 12.3698 6.1848 1.3442
CELL_PARAMETERS angstrom
8.8689 0.0000 0.0000
4.4253 7.6912 0.0000
0.0224 0.0709 23.0118
! - E (eV per cell) = -652.20
! - space group = No. 1


# 4
! GGA-PBE CaTi3P2S4O24, relaxed; values from VASP
&SYSTEM
  ibrav = 0, nat = 102, ntyp = 5
/
ATOMIC_SPECIES
Ca 40.08 Ca.upf
Ti 47.87 Ti.upf
P 30.97 P.upf
S 32.06 S.upf
O 16.00 O.upf
ATOMIC_POSITIONS angstrom
Ca 0.0000 0.0000 0.0000
Ca 0.0448 0.0396 11.0854
Ca 4.4278 2.5867 15.1650
Ti 0.1290 0.0488 6.3885
Ti 4.4114 2.5618 3.8566
Ti 4.3782 2.4896 10.1778
Ti 4.4578 2.5605 21.4428
Ti 8.7756 5.1489 7.3491
Ti 8.7690 5.1483 18.7205
Ti 8.7467 5.0482 13.8988
Ti 8.8114 5.1059 2.8115
Ti 8.6823 0.1424 17.7115
P 6.9958 7.6247 8.7721
P 6.2982 5.1090 5.0666
P 10.0854 7.2624 5.0742
P 7.6728 2.9776 16.3917
P 6.2151 0.0680 20.0781
P 10.0203 2.9347 5.0777
S 3.1042 5.3578 8.7681
S 1.3505 2.3299 20.0691
S 1.8835 2.6832 12.5994
S 3.0973 4.5904 1.4006
S 5.6864 5.4206 20.0707
S 5.7345 4.7276 12.5938
S 3.2941 0.3889 1.4003
S 7.4219 7.1803 16.4014
S 6.8392 2.6743 1.4024
S 5.5795 0.3262 12.6066
S 7.4783 2.3217 8.7625
S 11.2282 5.2611 16.3975
O 0.9291 1.6208 12.4083
O 3.7048 5.9067 1.3385
O 3.7821 6.0273 7.6226
O 1.1288 1.4202 18.9113
O 3.3143 4.0935 16.3708
O 2.7733 2.8622 11.3853
O 3.3614 3.7907 0.1632
O 2.7844 2.7374 4.8315
O 2.6651 2.5011 13.8015
O 3.6504 3.9005 2.5950
O 3.7457 4.0149 8.9857
O 2.8392 2.4559 20.2715
O 1.6335 0.2893 7.5751
O 5.0252 6.0629 18.9156
O 1.8555 0.2534 1.2968
O 5.4014 6.3514 5.3223
O 5.2799 6.0871 12.4305
O 5.9481 7.2557 16.6146
O 5.6141 6.2207 21.2772
O 6.2846 7.2799 10.0334
O 3.5007 1.3239 9.0193
O 5.0569 4.0654 20.2840
O 5.2037 4.1459 13.8073
O 3.6085 1.2219 2.5770
O 3.6356 0.8960 16.3663
O 5.3820 3.8820 4.8248
O 3.8556 1.0300 0.1435
O 5.4869 3.8741 11.3927
O 7.6915 6.3834 15.1790
O 7.2002 5.3747 3.8270
O 7.1318 5.1531 19.7877
O 7.9613 6.4790 8.3895
O 8.0020 6.5001 17.5965
O 5.9999 2.8239 0.1473
O 4.9691 1.0269 11.3777
O 7.1837 4.8431 6.2807
O 5.0745 1.0551 4.8164
O 5.9551 2.5230 2.5801
O 8.3464 6.6732 1.5400
O 7.2749 4.7887 12.7617
O 5.3374 1.3690 20.3245
O 5.9852 2.4481 8.9759
O 6.1983 2.7993 16.3935
O 5.3576 1.1239 13.7887
O 7.6335 3.9209 1.5412
O 9.2271 6.6151 12.7576
O 9.3848 6.6116 6.2702
O 9.6022 6.5543 19.6974
O 8.0694 3.8373 17.6067
O 8.0077 3.6779 8.4613
O 9.8403 6.3389 3.8320
O 8.2737 3.6340 15.1037
O 7.6790 1.4958 1.3180
O 7.7025 1.3968 7.6177
O 6.9815 0.0764 12.3807
O 7.1903 0.3588 18.8640
O 8.1060 1.8619 9.9829
O 11.3452 7.3220 21.3177
O 9.3445 3.5823 3.8290
O 10.4278 5.4700 15.1713
O 11.5872 7.4170 5.3577
O 10.3692 5.1514 17.5980
O 10.4194 5.1241 8.4532
O 8.3992 1.5838 16.6065
O 9.6144 3.7076 19.7854
O 9.8620 3.9992 12.7428
O 9.8025 3.8344 6.2818
O 10.3677 4.6852 1.5625
O 12.0756 6.5008 16.5824
O 11.9135 6.1489 9.9799
O 9.4592 1.8501 21.2730
O 9.3796 1.5374 5.3216
CELL_PARAMETERS angstrom
8.7560 0.0000 0.0000
4.3751 7.6016 0.0000
0.0075 0.0722 22.5332
! - E (eV per cell) = -729.45
! - space group = No. 1


# 5
! GGA-PBE CaZr3P2S4O24, relaxed; values from VASP
&SYSTEM
  ibrav = 0, nat = 102, ntyp = 5
/
ATOMIC_SPECIES
Ca 40.08 Ca.upf
Zr 91.22 Zr.upf
P 30.97 P.upf
S 32.06 S.upf
O 16.00 O.upf
ATOMIC_POSITIONS angstrom
Ca 0.0000 0.0000 0.0000
Ca 0.0734 0.0190 11.5716
Ca 4.6056 2.6400 15.6034
Zr 0.1176 0.0354 6.6964
Zr 4.5651 2.6322 4.0059
Zr 4.5420 2.5852 10.6022
Zr 4.6105 2.6102 22.2364
Zr 9.0727 5.2969 7.6941
Zr 9.0808 5.2703 19.3966
Zr 9.0621 5.2096 14.4427
Zr 9.1083 5.2635 2.9220
Zr 9.0100 0.0979 18.3617
P 2.6806 0.0204 9.1693
P 6.5078 5.2655 5.2875
P 7.8472 3.0354 16.9676
P 10.4240 7.4938 5.2976
P 6.4672 0.0258 20.8297
P 10.3682 3.0147 5.2998
S 1.3804 2.3254 20.8211
S 3.2476 5.5663 9.1588
S 1.9625 2.6816 13.0844
S 3.2501 4.8116 1.4439
S 5.8755 5.5967 20.8181
S 5.8882 4.8883 13.0707
S 3.3320 0.3901 1.4446
S 7.7440 7.4671 16.9772
S 7.1287 2.6935 1.4526
S 5.8457 0.3453 13.0823
S 7.7655 2.3257 9.1563
S 11.6611 5.3090 16.9672
O 1.0506 1.5796 12.8742
O 3.8861 6.2102 7.9728
O 3.8529 6.1279 1.3249
O 1.1577 1.4476 19.6360
O 3.4404 4.1406 16.8632
O 2.8457 2.8950 11.8689
O 2.8363 2.8413 5.0379
O 3.5115 3.9787 0.2201
O 2.7714 2.5050 14.2722
O 2.8614 2.4776 21.0087
O 3.8191 4.1183 2.6255
O 3.8748 4.2146 9.3592
O 1.7481 0.2618 7.9302
O 5.2482 6.2308 19.6327
O 1.8956 0.2484 1.2894
O 5.3713 6.2254 12.8783
O 5.6062 6.4928 5.5256
O 6.2692 7.5445 17.2077
O 6.4142 7.5862 10.4069
O 5.7405 6.4027 22.0190
O 5.2638 4.2381 21.0165
O 3.5879 1.2954 9.3829
O 5.3404 4.2794 14.2666
O 3.6387 1.2356 2.6180
O 3.8012 0.9299 16.8665
O 5.6128 4.0299 5.0311
O 3.9311 1.0403 0.2157
O 5.6526 4.0183 11.8635
O 7.9957 6.6252 15.7722
O 7.3278 5.3752 20.5556
O 7.4070 5.4966 4.0412
O 8.1502 6.6923 8.8267
O 8.3401 6.7898 18.1700
O 7.3945 5.0094 6.5104
O 8.5129 6.9172 1.6043
O 7.4099 4.9892 13.2318
O 6.2694 2.8793 0.2198
O 5.2066 1.0060 11.8654
O 5.2680 1.0311 5.0284
O 6.3690 2.8640 16.8725
O 6.2374 2.5297 2.6210
O 5.5626 1.2997 21.0448
O 6.2800 2.4795 9.3501
O 5.6028 1.1473 14.2639
O 7.9397 3.9298 1.6087
O 9.6827 6.8540 13.2529
O 9.7429 6.8440 6.5091
O 8.2180 3.9070 18.1951
O 10.0368 6.7128 20.4732
O 8.3213 3.6774 8.8784
O 8.4935 3.7172 15.7161
O 10.1629 6.6011 4.0460
O 7.9759 1.5232 1.3124
O 7.9876 1.4443 7.9717
O 7.2576 0.1331 12.8467
O 7.4017 0.2797 19.5894
O 8.3718 1.7935 10.3548
O 11.7860 7.5854 22.0655
O 11.9256 7.6565 5.5631
O 9.7309 3.6785 4.0435
O 8.5682 1.6509 17.1960
O 10.8164 5.5464 15.7642
O 9.8904 3.6837 20.5490
O 10.8502 5.3474 8.8764
O 10.7881 5.1719 18.1661
O 10.1415 3.9061 6.5182
O 10.1971 3.9644 13.2278
O 10.8198 4.9167 1.6108
O 12.5048 6.5385 17.1709
O 12.4283 6.3720 10.3515
O 9.8088 1.7898 22.0188
O 9.7409 1.6222 5.5235
CELL_PARAMETERS angstrom
9.0497 0.0000 0.0000
4.5196 7.8502 0.0000
0.0040 0.0223 23.3109
! - E (eV per cell) = -749.61
! - space group = No. 1


no.,formation energy (eV per atom),volume (Å³/atom)
1,-3.281,13.42
2,-3.284,13.49
3,-2.169,15.39
4,-2.583,14.70
5,-2.723,16.24